The following is a DFT calculation (PBE-GGA) of Na8TaGa3Si5SO24 after structural relaxation.

a b c (Å): 9.0280 9.0162 21.9877
angles (deg): 89.56 90.05 120.05
Sites, in units of the cell vectors:
Na: 0.6199 0.9986 0.2508
Na: 0.3704 0.3668 0.2550
Na: 0.0065 0.6335 0.2475
Na: 0.6357 0.6204 0.7450
Na: 0.9951 0.3637 0.7361
Na: 0.3589 0.0068 0.7400
Na: 0.2950 0.3417 0.5811
Na: 0.0443 0.7067 0.5818
Na: 0.6651 0.9593 0.5781
Na: 0.2953 0.9511 0.0829
Na: 0.6598 0.7027 0.0809
Na: 0.0419 0.3362 0.0813
Na: 0.9687 0.6754 0.9148
Na: 0.7052 0.0252 0.9184
Na: 0.3218 0.2926 0.9135
Na: 0.9772 0.3030 0.4194
Na: 0.3293 0.0285 0.4175
Na: 0.7015 0.6797 0.4192
Na: 0.0007 0.0022 0.5014
Na: 0.9987 0.9980 0.9996
Na: 0.6647 0.3406 0.8282
Na: 0.6592 0.3261 0.3319
Na: 0.3326 0.6730 0.1638
Na: 0.3288 0.6609 0.6570
Ta: 0.6665 0.3315 0.9807
Ta: 0.6685 0.3371 0.4803
Ta: 0.3235 0.6578 0.8140
Ga: 0.0205 0.0090 0.3583
Ga: 0.0133 0.9938 0.8548
Ga: 0.0202 0.0070 0.6416
Ga: 0.0115 0.9913 0.1402
Ga: 0.6629 0.3464 0.6798
Ga: 0.6440 0.3143 0.1763
Ga: 0.3339 0.6635 0.0208
Ga: 0.3378 0.6711 0.5175
Ga: 0.3315 0.6871 0.3256
Si: 0.2915 0.9992 0.2496
Si: 0.2884 0.2850 0.7492
Si: 0.9965 0.7110 0.7490
Si: 0.9582 0.3325 0.5870
Si: 0.3794 0.0418 0.5862
Si: 0.6669 0.6338 0.5849
Si: 0.9544 0.6180 0.0884
Si: 0.6680 0.0338 0.0867
Si: 0.3714 0.3359 0.0853
Si: 0.6274 0.6712 0.9184
Si: 0.0399 0.3679 0.9202
Si: 0.3327 0.9527 0.9196
Si: 0.6323 0.9616 0.4152
Si: 0.3349 0.3873 0.4150
Si: 0.0451 0.6691 0.4166
S: 0.7115 0.7114 0.2495
S: 0.0002 0.2886 0.2491
S: 0.7071 0.9959 0.7521
O: 0.2057 0.0350 0.3095
O: 0.8104 0.7991 0.3048
O: 0.9823 0.1866 0.3051
O: 0.2017 0.1755 0.8115
O: 0.9673 0.7914 0.8112
O: 0.8044 0.0092 0.8079
O: 0.7842 0.9732 0.6965
O: 0.1643 0.2093 0.6901
O: 0.0397 0.8362 0.6900
O: 0.7949 0.8133 0.1932
O: 0.0110 0.2010 0.1936
O: 0.1708 0.9632 0.1891
O: 0.8649 0.3609 0.6459
O: 0.4967 0.1294 0.6463
O: 0.6277 0.5156 0.6457
O: 0.8589 0.4957 0.1476
O: 0.6300 0.1165 0.1462
O: 0.4893 0.3737 0.1456
O: 0.4709 0.3051 0.0265
O: 0.8336 0.5232 0.0270
O: 0.6974 0.1630 0.0267
O: 0.4758 0.1647 0.5256
O: 0.6942 0.5321 0.5265
O: 0.8358 0.3097 0.5266
O: 0.5418 0.7033 0.9775
O: 0.1611 0.4542 0.9781
O: 0.2992 0.8335 0.9787
O: 0.5491 0.8384 0.4742
O: 0.2980 0.4656 0.4754
O: 0.1690 0.7093 0.4749
O: 0.1140 0.6221 0.3547
O: 0.5125 0.8904 0.3543
O: 0.3702 0.5069 0.3533
O: 0.1336 0.4954 0.8596
O: 0.3625 0.8620 0.8585
O: 0.5021 0.6388 0.8583
O: 0.0149 0.8335 0.4110
O: 0.8248 0.9887 0.4065
O: 0.1687 0.1923 0.4119
O: 0.0104 0.1772 0.9101
O: 0.1678 0.9800 0.9150
O: 0.8185 0.8368 0.9116
O: 0.9659 0.1547 0.5884
O: 0.1949 0.0351 0.5844
O: 0.8432 0.8190 0.5883
O: 0.9631 0.8042 0.0863
O: 0.8445 0.0249 0.0906
O: 0.1856 0.1596 0.0863
O: 0.6842 0.1475 0.7508
O: 0.4812 0.3080 0.7466
O: 0.8323 0.5144 0.7460
O: 0.6985 0.5388 0.2495
O: 0.8459 0.3100 0.2493
O: 0.4867 0.1762 0.2454
O: 0.6390 0.4926 0.9214
O: 0.8538 0.3624 0.9212
O: 0.5092 0.1434 0.9218
O: 0.6503 0.1541 0.4222
O: 0.5070 0.3639 0.4207
O: 0.8519 0.4977 0.4226
O: 0.3533 0.5052 0.0793
O: 0.1429 0.6381 0.0827
O: 0.4966 0.8479 0.0800
O: 0.3589 0.8531 0.5798
O: 0.4954 0.6484 0.5779
O: 0.1456 0.5033 0.5803
O: 0.3105 0.8233 0.2548
O: 0.5359 0.6894 0.2497
O: 0.1590 0.4608 0.2496
O: 0.3143 0.4845 0.7555
O: 0.1755 0.6941 0.7551
O: 0.5291 0.8354 0.7544

Calculated values
Its formation enthalpy at 0 K is -2.6323 eV per atom. The calculation puts the density at 3.64 g cm⁻³. As for the space-group type: No. 1.

=====

The following is a DFT calculation (PBE-GGA) of Na2Ta4Ga4Si5S7O48 after structural relaxation.

a b c (Å): 17.4705 8.7250 22.5800
angles (deg): 90.22 89.63 120.03
Sites, in units of the cell vectors:
Na: 0.0004 0.9938 0.4977
Na: 0.4970 0.0028 0.9958
Na: 0.3327 0.3263 0.8416
Na: 0.8327 0.3387 0.8387
Na: 0.3298 0.3238 0.3360
Na: 0.8381 0.3387 0.3383
Ta: 0.5016 0.0105 0.3534
Ta: 0.0061 0.9923 0.8567
Ta: 0.5056 0.0116 0.6395
Ta: 0.0072 0.0030 0.1387
Ta: 0.3341 0.3454 0.6896
Ta: 0.8298 0.3292 0.6926
Ta: 0.3315 0.3294 0.1900
Ta: 0.8331 0.3236 0.1879
Ta: 0.1651 0.6694 0.0241
Ta: 0.6635 0.6614 0.0225
Ta: 0.1639 0.6668 0.5227
Ta: 0.6667 0.6682 0.5251
Ga: 0.0072 0.9842 0.3545
Ga: 0.5036 0.0255 0.8554
Ga: 0.0090 0.0138 0.6609
Ga: 0.5080 0.0084 0.1546
Ga: 0.3259 0.3176 0.9718
Ga: 0.8403 0.3315 0.9855
Ga: 0.3382 0.3442 0.4870
Ga: 0.8377 0.3358 0.4806
Ga: 0.1502 0.6684 0.3120
Ga: 0.6649 0.6693 0.3040
Ga: 0.1639 0.6747 0.8059
Ga: 0.6529 0.6349 0.8126
Si: 0.1402 0.9917 0.2530
Si: 0.6449 0.9976 0.2486
Si: 0.5043 0.2945 0.2477
Si: 0.1443 0.3006 0.7511
Si: 0.6384 0.2873 0.7540
Si: 0.0039 0.7168 0.7471
Si: 0.4711 0.3290 0.5798
Si: 0.6983 0.0639 0.5783
Si: 0.3320 0.6185 0.5814
Si: 0.9720 0.6134 0.0799
Si: 0.8323 0.0437 0.0811
Si: 0.1998 0.3401 0.0786
Si: 0.5165 0.3728 0.9166
Si: 0.1729 0.9506 0.9125
Si: 0.0147 0.6590 0.4170
S: 0.3526 0.7122 0.2514
S: 0.8573 0.7155 0.2518
S: 0.0012 0.2838 0.2536
S: 0.5023 0.7206 0.7533
S: 0.3578 0.0001 0.7499
S: 0.8523 0.9916 0.7517
S: 0.9765 0.3225 0.5831
S: 0.1865 0.0485 0.5817
S: 0.8391 0.6302 0.5823
S: 0.4758 0.6302 0.0828
S: 0.3403 0.0465 0.0830
S: 0.6870 0.3257 0.0815
S: 0.3139 0.6724 0.9142
S: 0.8078 0.6591 0.9158
S: 0.0185 0.3771 0.9158
S: 0.6687 0.9567 0.9152
S: 0.3084 0.9574 0.4160
S: 0.8113 0.9520 0.4136
S: 0.1684 0.3798 0.4149
S: 0.6688 0.3845 0.4143
S: 0.5212 0.6612 0.4154
O: 0.1062 0.0486 0.3109
O: 0.5933 0.0288 0.3074
O: 0.4120 0.7957 0.3048
O: 0.9116 0.7886 0.3057
O: 0.4793 0.1582 0.3074
O: 0.9806 0.1732 0.3066
O: 0.0929 0.1610 0.8071
O: 0.6025 0.1599 0.8105
O: 0.4815 0.7901 0.8061
O: 0.9786 0.8005 0.8058
O: 0.4117 0.0377 0.8037
O: 0.9097 0.0292 0.8035
O: 0.4021 0.9800 0.6969
O: 0.8910 0.9666 0.6967
O: 0.0875 0.2246 0.6911
O: 0.5810 0.1894 0.6948
O: 0.0110 0.8235 0.6877
O: 0.5092 0.8184 0.6987
O: 0.3918 0.8171 0.1979
O: 0.8977 0.8235 0.1989
O: 0.0086 0.1992 0.1994
O: 0.5123 0.1996 0.1897
O: 0.0797 0.9710 0.1957
O: 0.5858 0.9602 0.1909
O: 0.4273 0.3628 0.6385
O: 0.9395 0.3608 0.6361
O: 0.2411 0.1265 0.6350
O: 0.7593 0.1483 0.6366
O: 0.3121 0.4899 0.6399
O: 0.8222 0.5169 0.6353
O: 0.4399 0.5207 0.1373
O: 0.9258 0.4940 0.1395
O: 0.3257 0.1318 0.1371
O: 0.8118 0.1323 0.1406
O: 0.2583 0.3708 0.1391
O: 0.7408 0.3543 0.1357
O: 0.2429 0.2972 0.0244
O: 0.7272 0.3007 0.0280
O: 0.4237 0.5491 0.0306
O: 0.9134 0.5386 0.0222
O: 0.3569 0.1545 0.0306
O: 0.8497 0.1600 0.0235
O: 0.2264 0.1517 0.5274
O: 0.7395 0.1836 0.5211
O: 0.3498 0.5398 0.5226
O: 0.8552 0.5539 0.5291
O: 0.4146 0.2888 0.5210
O: 0.9243 0.2977 0.5294
O: 0.2707 0.6968 0.9688
O: 0.7664 0.6835 0.9710
O: 0.0723 0.4554 0.9707
O: 0.5828 0.4732 0.9749
O: 0.1585 0.8341 0.9733
O: 0.6611 0.8452 0.9694
O: 0.2672 0.8504 0.4708
O: 0.7677 0.8397 0.4681
O: 0.1606 0.4762 0.4691
O: 0.6560 0.4650 0.4692
O: 0.0795 0.6868 0.4752
O: 0.5758 0.6878 0.4698
O: 0.0567 0.6175 0.3598
O: 0.5644 0.6377 0.3637
O: 0.2562 0.8705 0.3635
O: 0.7568 0.8641 0.3619
O: 0.1840 0.4889 0.3622
O: 0.6801 0.4923 0.3627
O: 0.0600 0.4828 0.8638
O: 0.5595 0.4969 0.8593
O: 0.1850 0.8551 0.8567
O: 0.6847 0.8792 0.8621
O: 0.2612 0.6456 0.8619
O: 0.7549 0.6381 0.8633
O: 0.0079 0.8388 0.4144
O: 0.5123 0.8222 0.4099
O: 0.3971 0.9704 0.4113
O: 0.9005 0.9732 0.4105
O: 0.0840 0.2096 0.4144
O: 0.5842 0.2056 0.4096
O: 0.0062 0.1955 0.9101
O: 0.5101 0.1797 0.9144
O: 0.0795 0.9605 0.9074
O: 0.5849 0.9584 0.9146
O: 0.4036 0.8345 0.9106
O: 0.8951 0.8239 0.9112
O: 0.4870 0.1646 0.5920
O: 0.9866 0.1661 0.5900
O: 0.0972 0.0220 0.5879
O: 0.5994 0.0264 0.5924
O: 0.4154 0.8059 0.5993
O: 0.9114 0.8108 0.5902
O: 0.4869 0.8088 0.0912
O: 0.9868 0.8093 0.0927
O: 0.4144 0.0146 0.0923
O: 0.9160 0.0258 0.1000
O: 0.1004 0.1746 0.0936
O: 0.5973 0.1722 0.0876
O: 0.3481 0.1616 0.7410
O: 0.8480 0.1628 0.7445
O: 0.2393 0.2988 0.7431
O: 0.7381 0.3052 0.7405
O: 0.4217 0.5321 0.7453
O: 0.9137 0.5183 0.7398
O: 0.3503 0.5369 0.2461
O: 0.8477 0.5354 0.2435
O: 0.4168 0.3178 0.2419
O: 0.9213 0.3119 0.2458
O: 0.2400 0.1713 0.2397
O: 0.7394 0.1879 0.2449
O: 0.3245 0.5160 0.9221
O: 0.8182 0.5025 0.9218
O: 0.4240 0.3649 0.9282
O: 0.9288 0.3586 0.9214
O: 0.2528 0.1490 0.9171
O: 0.7455 0.1381 0.9230
O: 0.3189 0.1353 0.4218
O: 0.8171 0.1260 0.4206
O: 0.2450 0.3519 0.4226
O: 0.7436 0.3553 0.4197
O: 0.4321 0.5033 0.4209
O: 0.9174 0.4829 0.4262
O: 0.1884 0.5113 0.0685
O: 0.6808 0.4908 0.0757
O: 0.0698 0.6317 0.0730
O: 0.5672 0.6509 0.0751
O: 0.2566 0.8713 0.0774
O: 0.7465 0.8487 0.0717
O: 0.1804 0.8700 0.5745
O: 0.6867 0.8653 0.5680
O: 0.2460 0.6426 0.5706
O: 0.7541 0.6361 0.5733
O: 0.0668 0.4843 0.5742
O: 0.5711 0.5039 0.5694
O: 0.1577 0.8290 0.2581
O: 0.6642 0.8440 0.2630
O: 0.2650 0.6824 0.2632
O: 0.7692 0.6922 0.2594
O: 0.0819 0.4570 0.2583
O: 0.5903 0.4734 0.2634
O: 0.1653 0.4927 0.7669
O: 0.6574 0.4860 0.7577
O: 0.0857 0.6927 0.7569
O: 0.5820 0.7065 0.7577
O: 0.2714 0.8445 0.7539
O: 0.7633 0.8462 0.7608

Calculated values
Its formation enthalpy at 0 K is -2.4768 eV per atom. The calculation puts the density at 3.65 g cm⁻³. As for the space-group type: No. 1.

=====

- What is the formation enthalpy at 0 K in the first record?
  -2.6323 eV per atom

=====

- formation enthalpy at 0 K of number 1 (Na8TaGa3Si5SO24)?
  -2.6323 eV per atom